Density functional theory data (PBE) for an optimized crystal structure of KC60.

Calculated formation energy in eV per atom: 0.36

CIF file:
```
data_KC60
_cell_length_a 10.067
_cell_length_b 14.465
_cell_length_c 9.129
_cell_angle_alpha 90.00
_cell_angle_beta 90.00
_cell_angle_gamma 90.00
_space_group_name_H-M_alt 'P n n m'
_space_group_IT_number 58
loop_
_space_group_symop_operation_xyz
'x,y,z'
'-x,-y,-z'
'-x,-y,z'
'x,y,-z'
'x+1/2,-y+1/2,-z+1/2'
'-x+1/2,y+1/2,z+1/2'
'-x+1/2,y+1/2,-z+1/2'
'x+1/2,-y+1/2,z+1/2'
loop_
_atom_site_label
_atom_site_type_symbol
_atom_site_fract_x
_atom_site_fract_y
_atom_site_fract_z
K1 K 0.000 0.000 0.000
C1 C 0.009 0.259 0.080
C2 C 0.034 0.373 0.334
C3 C 0.061 0.464 0.413
C4 C 0.091 0.653 0.286
C5 C 0.104 0.711 0.157
C6 C 0.138 0.289 0.128
C7 C 0.149 0.346 0.252
C8 C 0.158 0.033 0.421
C9 C 0.177 0.939 0.372
C10 C 0.186 0.497 0.335
C11 C 0.190 0.880 0.500
C12 C 0.203 0.588 0.286
C13 C 0.218 0.106 0.344
C14 C 0.219 0.307 0.000
C15 C 0.221 0.681 0.077
C16 C 0.243 0.422 0.252
```